No. 1
{
  "formula": "K2NaTaI6",
  "functional": "PBE",
  "state": "relaxed",
  "lattice_angstrom": [[0.000, 5.956, 5.956], [5.956, 0.000, 5.956], [5.956, 5.956, 0.000]],
  "species": ["K", "K", "Na", "Ta", "I", "I", "I", "I", "I", "I"],
  "frac_coords": [[0.250, 0.250, 0.250], [0.750, 0.750, 0.750], [0.000, 0.000, 0.000], [0.500, 0.500, 0.500], [0.262, 0.262, 0.738], [0.262, 0.738, 0.262], [0.262, 0.738, 0.738], [0.738, 0.262, 0.262], [0.738, 0.262, 0.738], [0.738, 0.738, 0.262]],
  "e_tot_ev_per_cell": -33.139
}

No. 2
{
  "formula": "K2NaYI6",
  "functional": "PBE",
  "state": "relaxed",
  "lattice_angstrom": [[0.000, 6.145, 6.145], [6.145, 0.000, 6.145], [6.145, 6.145, 0.000]],
  "species": ["K", "K", "Na", "Y", "I", "I", "I", "I", "I", "I"],
  "frac_coords": [[0.250, 0.250, 0.250], [0.750, 0.750, 0.750], [0.000, 0.000, 0.000], [0.500, 0.500, 0.500], [0.255, 0.255, 0.745], [0.255, 0.745, 0.255], [0.255, 0.745, 0.745], [0.745, 0.255, 0.255], [0.745, 0.255, 0.745], [0.745, 0.745, 0.255]],
  "e_tot_ev_per_cell": -32.776
}

No. 3
{
  "formula": "K3NdI6",
  "functional": "PBE",
  "state": "relaxed",
  "lattice_angstrom": [[0.000, 6.466, 6.466], [6.466, 0.000, 6.466], [6.466, 6.466, 0.000]],
  "species": ["K", "K", "K", "Nd", "I", "I", "I", "I", "I", "I"],
  "frac_coords": [[0.000, 0.000, 0.000], [0.250, 0.250, 0.250], [0.750, 0.750, 0.750], [0.500, 0.500, 0.500], [0.260, 0.260, 0.740], [0.260, 0.740, 0.260], [0.260, 0.740, 0.740], [0.740, 0.260, 0.260], [0.740, 0.260, 0.740], [0.740, 0.740, 0.260]],
  "e_tot_ev_per_cell": -31.019
}

No. 4
{
  "formula": "K3Nd3I10",
  "functional": "PBE",
  "state": "relaxed",
  "lattice_angstrom": [[9.103, 0.000, 0.000], [0.000, 14.470, 0.000], [-0.556, 0.000, 9.984]],
  "species": ["K", "K", "K", "K", "K", "K", "Nd", "Nd", "Nd", "Nd", "Nd", "Nd", "I", "I", "I", "I", "I", "I", "I", "I", "I", "I", "I", "I", "I", "I", "I", "I", "I", "I", "I", "I"],
  "frac_coords": [[0.204, 0.000, 0.218], [0.261, 0.342, 0.765], [0.290, 0.313, 0.255], [0.710, 0.813, 0.745], [0.739, 0.842, 0.235], [0.796, 0.500, 0.782], [0.176, 0.724, 0.551], [0.271, 0.968, 0.697], [0.312, 0.643, 0.034], [0.688, 0.143, 0.966], [0.729, 0.468, 0.303], [0.824, 0.224, 0.449], [0.019, 0.406, 0.466], [0.040, 0.709, 0.835], [0.085, 0.477, 0.054], [0.111, 0.762, 0.226], [0.174, 0.145, 0.515], [0.328, 0.131, 0.942], [0.395, 0.581, 0.735], [0.403, 0.575, 0.332], [0.411, 0.855, 0.956], [0.442, 0.852, 0.489], [0.558, 0.352, 0.511], [0.589, 0.355, 0.044], [0.597, 0.075, 0.668], [0.605, 0.081, 0.265], [0.672, 0.631, 0.058], [0.826, 0.645, 0.485], [0.889, 0.262, 0.774], [0.915, 0.977, 0.946], [0.960, 0.209, 0.165], [0.981, 0.906, 0.534]],
  "e_tot_ev_per_cell": -108.408
}

No. 5
{
  "formula": "K2RbNdI6",
  "functional": "PBE",
  "state": "relaxed",
  "lattice_angstrom": [[0.000, 6.574, 6.574], [6.574, 0.000, 6.574], [6.574, 6.574, 0.000]],
  "species": ["K", "K", "Rb", "Nd", "I", "I", "I", "I", "I", "I"],
  "frac_coords": [[0.250, 0.250, 0.250], [0.750, 0.750, 0.750], [0.000, 0.000, 0.000], [0.500, 0.500, 0.500], [0.264, 0.264, 0.736], [0.264, 0.736, 0.264], [0.264, 0.736, 0.736], [0.736, 0.264, 0.264], [0.736, 0.264, 0.736], [0.736, 0.736, 0.264]],
  "e_tot_ev_per_cell": -30.766
}

No. 6
{
  "formula": "KI3O9",
  "functional": "PBE",
  "state": "relaxed",
  "lattice_angstrom": [[8.178, 0.000, 0.000], [2.703, 7.780, 0.000], [4.069, 2.146, 6.836]],
  "species": ["K", "K", "I", "I", "I", "I", "I", "I", "O", "O", "O", "O", "O", "O", "O", "O", "O", "O", "O", "O", "O", "O", "O", "O", "O", "O"],
  "frac_coords": [[0.232, 0.215, 0.256], [0.768, 0.785, 0.744], [0.203, 0.291, 0.722], [0.266, 0.764, 0.725], [0.304, 0.692, 0.251], [0.696, 0.308, 0.749], [0.734, 0.236, 0.275], [0.797, 0.709, 0.278], [0.022, 0.834, 0.894], [0.034, 0.273, 0.644], [0.102, 0.514, 0.755], [0.235, 0.854, 0.496], [0.290, 0.932, 0.096], [0.334, 0.580, 0.082], [0.378, 0.952, 0.680], [0.387, 0.365, 0.467], [0.436, 0.311, 0.842], [0.564, 0.689, 0.158], [0.613, 0.635, 0.533], [0.622, 0.048, 0.320], [0.666, 0.420, 0.918], [0.710, 0.068, 0.904], [0.765, 0.146, 0.504], [0.898, 0.486, 0.245], [0.966, 0.727, 0.356], [0.978, 0.166, 0.106]],
  "e_tot_ev_per_cell": -109.585
}

No. 7
{
  "formula": "K2I2O3",
  "functional": "PBE",
  "state": "relaxed",
  "lattice_angstrom": [[6.118, 0.000, 0.000], [0.000, 6.050, 0.000], [-5.627, 0.000, 9.403]],
  "species": ["K", "K", "K", "K", "I", "I", "I", "I", "O", "O", "O", "O", "O", "O"],
  "frac_coords": [[0.000, 0.238, 0.000], [0.000, 0.762, 0.500], [0.515, 0.248, 0.499], [0.515, 0.752, 0.999], [0.277, 0.242, 0.759], [0.277, 0.758, 0.259], [0.734, 0.270, 0.234], [0.734, 0.730, 0.734], [0.414, 0.473, 0.215], [0.414, 0.527, 0.715], [0.902, 0.012, 0.211], [0.902, 0.261, 0.434], [0.902, 0.739, 0.934], [0.902, 0.988, 0.711]],
  "e_tot_ev_per_cell": -51.357
}

No. 8
{
  "formula": "K2IO9",
  "functional": "PBE",
  "state": "relaxed",
  "lattice_angstrom": [[7.618, 0.000, 0.000], [3.409, 6.893, 0.000], [2.033, -0.016, 9.018]],
  "species": ["K", "K", "K", "K", "I", "I", "O", "O", "O", "O", "O", "O", "O", "O", "O", "O", "O", "O", "O", "O", "O", "O", "O", "O"],
  "frac_coords": [[0.175, 0.173, 0.400], [0.235, 0.798, 0.044], [0.765, 0.202, 0.956], [0.825, 0.827, 0.600], [0.261, 0.300, 0.845], [0.739, 0.700, 0.155], [0.048, 0.002, 0.680], [0.104, 0.460, 0.723], [0.118, 0.204, 0.982], [0.215, 0.548, 0.415], [0.244, 0.867, 0.629], [0.302, 0.648, 0.360], [0.348, 0.772, 0.732], [0.358, 0.418, 0.943], [0.472, 0.103, 0.743], [0.528, 0.897, 0.257], [0.642, 0.582, 0.057], [0.652, 0.228, 0.268], [0.698, 0.352, 0.640], [0.756, 0.133, 0.371], [0.785, 0.452, 0.585], [0.882, 0.796, 0.018], [0.896, 0.540, 0.277], [0.952, 0.998, 0.320]],
  "e_tot_ev_per_cell": -108.990
}

How do the records compare in DFT formation energy? In the order shown, they have -1087 -1590 -1605 -1570 -1593 -828 -1090 -518 meV/atom.